[1]
This record from the Materials Project database describes crystalline InH4NCl4 at its relaxed geometry. The functional is PBE.

Cell: 9.3215 9.3215 9.3215 Å, 134.80 134.80 65.84°
Last column: nearest neighbours and their distance in Å.
Fractional coordinates of all 20 atoms:
In 0.3750 0.1250 0.2500  4 Cl 2.40
In 0.6250 0.8750 0.7500  4 Cl 2.40
H 0.0303 0.6661 0.3695  1 N 1.03
H 0.1608 0.5303 0.8642  1 N 1.03
H 0.1661 0.2966 0.6358  1 N 1.03
H 0.2034 0.3392 0.8695  1 N 1.03
H 0.7966 0.6608 0.1305  1 N 1.03
H 0.8339 0.7034 0.3642  1 N 1.03
H 0.8392 0.4697 0.1358  1 N 1.03
H 0.9697 0.3339 0.6305  1 N 1.03
N 0.1250 0.3750 0.7500  4 H 1.03
N 0.8750 0.6250 0.2500  4 H 1.03
Cl 0.1438 0.2787 0.3414  1 In 2.40, 1 H 2.49
Cl 0.2213 0.0627 0.8651  1 In 2.40, 1 H 2.49
Cl 0.3024 0.6438 0.3651  1 In 2.40, 1 H 2.49
Cl 0.4373 0.8024 0.1586  1 In 2.40, 1 H 2.49
Cl 0.5627 0.1976 0.8414  1 In 2.40, 1 H 2.49
Cl 0.6976 0.3562 0.6349  1 In 2.40, 1 H 2.49
Cl 0.7787 0.9373 0.1349  1 In 2.40, 1 H 2.49
Cl 0.8562 0.7213 0.6586  1 In 2.40, 1 H 2.49

Its space group is I4_1/a, No. 88. For the total energy, the calculation gives -4.021 eV per atom. The calculation puts the calculated formation energy at -1.061 eV per atom.

***

[2]
This record from the Materials Project database describes crystalline Y2Si3Pt3 at its relaxed geometry. The functional is PBE.

Cell: 2.8033 2.8033 20.7612 Å, 90.00 90.00 90.00°
Last column: nearest neighbours and their distance in Å.
Fractional coordinates of all 8 atoms:
Y 0.0000 0.0000 0.2483  1 Pt 2.78, 4 Y 2.80, 1 Si 2.88
Y 0.0000 0.0000 0.7517  1 Pt 2.78, 4 Y 2.80, 1 Si 2.88
Si 0.0000 0.0000 0.0000  2 Pt 2.38
Si 0.0000 0.0000 0.3871  1 Pt 2.34
Si 0.0000 0.0000 0.6129  1 Pt 2.34
Pt 0.0000 0.0000 0.1144  1 Si 2.38
Pt 0.0000 0.0000 0.5000  2 Si 2.34
Pt 0.0000 0.0000 0.8856  1 Si 2.38

Its space group is P4/mmm, No. 123. For the total energy, the calculation gives -5.533 eV per atom. The calculation puts the calculated formation energy at 0.395 eV per atom.

***

[3]
This record from the Materials Project database describes crystalline CoAgN at its relaxed geometry. The functional is PBE.

Cell: 2.7919 5.0931 5.3242 Å, 90.00 104.73 90.00°
Last column: nearest neighbours and their distance in Å.
Fractional coordinates of all 6 atoms:
Co 0.0000 0.0000 0.0000  4 N 1.93
Co 0.0000 0.5000 0.0000  4 N 1.93
Ag 0.2443 0.2500 0.4876  1 N 2.25
Ag 0.7557 0.7500 0.5124  1 N 2.25
N 0.4632 0.2500 0.9238  4 Co 1.93
N 0.5368 0.7500 0.0762  4 Co 1.93

Its space group is P2_1/m, No. 11. For the total energy, the calculation gives -5.699 eV per atom. As for the distance to the lowest polymorph of the same formula: 0.000 eV/atom. The calculation puts the calculated formation energy at 0.273 eV per atom.

***

[4]
This record from the Materials Project database describes crystalline DyB12 at its relaxed geometry. The functional is PBE.

Cell: 5.3019 5.3019 5.3019 Å, 60.00 60.00 60.00°
Last column: nearest neighbours and their distance in Å.
Fractional coordinates of all 13 atoms:
Dy 0.0000 0.0000 0.0000  24 B 2.79
B 0.1623 0.5000 0.5000  5 B 1.72-1.79
B 0.1623 0.5000 0.8377  5 B 1.72-1.79
B 0.1623 0.8377 0.5000  5 B 1.72-1.79
B 0.5000 0.1623 0.5000  5 B 1.72-1.79
B 0.5000 0.1623 0.8377  5 B 1.72-1.79
B 0.5000 0.5000 0.1623  5 B 1.72-1.79
B 0.5000 0.5000 0.8377  5 B 1.72-1.79
B 0.5000 0.8377 0.1623  5 B 1.72-1.79
B 0.5000 0.8377 0.5000  5 B 1.72-1.79
B 0.8377 0.1623 0.5000  5 B 1.72-1.79
B 0.8377 0.5000 0.1623  5 B 1.72-1.79
B 0.8377 0.5000 0.5000  5 B 1.72-1.79

Its space group is Fm-3m, No. 225. For the total energy, the calculation gives -6.770 eV per atom. The calculation puts the calculated formation energy at -0.250 eV per atom.

***

[5]
This record from the Materials Project database describes crystalline SrCaPrSbO6 at its relaxed geometry. The functional is PBE.

Cell: 6.0591 6.0591 6.0591 Å, 60.00 60.00 60.00°
Last column: nearest neighbours and their distance in Å.
Fractional coordinates of all 10 atoms:
Sr 0.0000 0.0000 0.0000  12 O 3.03
Ca 0.5000 0.5000 0.5000  12 O 3.03
Pr 0.2500 0.2500 0.2500  6 O 2.29
Sb 0.7500 0.7500 0.7500  6 O 1.99
O 0.5178 0.5178 0.9822  1 Sb 1.99
O 0.5178 0.9822 0.5178  1 Sb 1.99
O 0.5178 0.9822 0.9822  1 Sb 1.99
O 0.9822 0.5178 0.5178  1 Sb 1.99
O 0.9822 0.5178 0.9822  1 Sb 1.99
O 0.9822 0.9822 0.5178  1 Sb 1.99

Its space group is F-43m, No. 216. For the total energy, the calculation gives -6.664 eV per atom. As for the distance to the lowest polymorph of the same formula: 0.160 eV/atom. The calculation puts the calculated formation energy at -2.847 eV per atom.

***

[6]
This record from the Materials Project database describes crystalline Na3Pd at its relaxed geometry. The functional is PBE.

Cell: 5.3799 5.3799 5.3799 Å, 127.60 127.60 77.28°
Last column: nearest neighbours and their distance in Å.
Fractional coordinates of all 4 atoms:
Na 0.0000 0.0000 0.0000  8 Na 3.17, 4 Pd 3.36
Na 0.2500 0.7500 0.5000  8 Na 3.17-3.36, 4 Pd 3.17
Na 0.7500 0.2500 0.5000  8 Na 3.17-3.36, 4 Pd 3.17
Pd 0.5000 0.5000 0.0000  12 Na 3.17-3.36

Its space group is I4/mmm, No. 139. For the total energy, the calculation gives -2.303 eV per atom. The calculation puts the calculated formation energy at -0.016 eV per atom.

***

[7]
This record from the Materials Project database describes crystalline Ba3NaNd3Si6O20 at its relaxed geometry. The functional is PBE.

Cell: 15.0068 12.5487 12.5487 Å, 153.96 90.00 90.00°
Last column: nearest neighbours and their distance in Å.
Fractional coordinates of all 66 atoms:
Ba 0.1133 0.2429 0.7564  7 O 2.65-2.96
Ba 0.2500 0.0832 0.9168  7 O 2.68-2.90
Ba 0.3867 0.2429 0.7564  7 O 2.65-2.96
Ba 0.6133 0.7564 0.2429  7 O 2.65-2.96
Ba 0.7500 0.9168 0.0832  7 O 2.68-2.90
Ba 0.8867 0.7564 0.2429  7 O 2.65-2.96
Na 0.2500 0.4630 0.6869  4 O 2.42-2.48
Na 0.7500 0.6869 0.4630  4 O 2.42-2.48
Nd 0.0000 0.9222 0.9222  6 O 2.37-2.53
Nd 0.0312 0.5396 0.3178  7 O 2.34-2.62
Nd 0.4688 0.5396 0.3178  7 O 2.34-2.62
Nd 0.5000 0.9222 0.9222  6 O 2.37-2.53
Nd 0.5312 0.3178 0.5396  7 O 2.34-2.62
Nd 0.9688 0.3178 0.5396  7 O 2.34-2.62
Si 0.0578 0.8159 0.1204  4 O 1.63-1.67
Si 0.1412 0.4893 0.4878  4 O 1.63-1.68
Si 0.2500 0.6496 0.2865  4 O 1.62-1.71
Si 0.2500 0.8378 0.2164  4 O 1.60-1.67
Si 0.3588 0.4893 0.4878  4 O 1.63-1.68
Si 0.4422 0.8159 0.1204  4 O 1.63-1.67
Si 0.5578 0.1204 0.8159  4 O 1.63-1.67
Si 0.6412 0.4878 0.4893  4 O 1.63-1.68
Si 0.7500 0.2164 0.8378  4 O 1.60-1.67
Si 0.7500 0.2865 0.6496  4 O 1.62-1.71
Si 0.8588 0.4878 0.4893  4 O 1.63-1.68
Si 0.9422 0.1204 0.8159  4 O 1.63-1.67
O 0.0041 0.5610 0.9094  1 Si 1.63
O 0.0317 0.9594 0.1401  1 Si 1.63
O 0.0328 0.0092 0.3888  1 Si 1.64
O 0.0856 0.5212 0.6271  1 Si 1.63
O 0.1103 0.2614 0.2077  1 Si 1.64
O 0.1202 0.7375 0.6404  1 Si 1.66
O 0.1628 0.4856 0.1719  1 Si 1.64
O 0.1658 0.7422 0.0563  2 Si 1.66-1.67
O 0.2500 0.1200 0.5005  1 Si 1.60
O 0.2500 0.4686 0.4989  2 Si 1.68
O 0.2500 0.6458 0.1468  2 Si 1.67-1.71
O 0.2500 0.9318 0.5774  1 Si 1.62
O 0.3342 0.7422 0.0563  2 Si 1.66-1.67
O 0.3372 0.4856 0.1719  1 Si 1.64
O 0.3798 0.7375 0.6404  1 Si 1.66
O 0.3897 0.2614 0.2077  1 Si 1.64
O 0.4144 0.5212 0.6271  1 Si 1.63
O 0.4672 0.0092 0.3888  1 Si 1.64
O 0.4683 0.9594 0.1401  1 Si 1.63
O 0.4959 0.5610 0.9094  1 Si 1.63
O 0.5041 0.9094 0.5610  1 Si 1.63
O 0.5317 0.1401 0.9594  1 Si 1.63
O 0.5328 0.3888 0.0092  1 Si 1.64
O 0.5856 0.6271 0.5212  1 Si 1.63
O 0.6103 0.2077 0.2614  1 Si 1.64
O 0.6202 0.6404 0.7375  1 Si 1.66
O 0.6628 0.1719 0.4856  1 Si 1.64
O 0.6658 0.0563 0.7422  2 Si 1.66-1.67
O 0.7500 0.1468 0.6458  2 Si 1.67-1.71
O 0.7500 0.4989 0.4686  2 Si 1.68
O 0.7500 0.5005 0.1200  1 Si 1.60
O 0.7500 0.5774 0.9318  1 Si 1.62
O 0.8342 0.0563 0.7422  2 Si 1.66-1.67
O 0.8372 0.1719 0.4856  1 Si 1.64
O 0.8798 0.6404 0.7375  1 Si 1.66
O 0.8897 0.2077 0.2614  1 Si 1.64
O 0.9144 0.6271 0.5212  1 Si 1.63
O 0.9672 0.3888 0.0092  1 Si 1.64
O 0.9683 0.1401 0.9594  1 Si 1.63
O 0.9959 0.9094 0.5610  1 Si 1.63

Its space group is Ama2, No. 40. For the total energy, the calculation gives -7.686 eV per atom. The calculation puts the calculated formation energy at -3.469 eV per atom.

***

[8]
This record from the Materials Project database describes crystalline LaB2C2 at its relaxed geometry. The functional is PBE.

Cell: 3.8366 3.8366 7.9729 Å, 90.00 90.00 90.00°
Last column: nearest neighbours and their distance in Å.
Fractional coordinates of all 10 atoms:
La 0.0000 0.0000 0.2500  8 C 2.86, 8 B 2.89
La 0.0000 0.0000 0.7500  8 C 2.86, 8 B 2.89
B 0.2169 0.5000 0.0000  2 C 1.62, 1 B 1.66
B 0.5000 0.2169 0.5000  2 C 1.62, 1 B 1.66
B 0.5000 0.7831 0.5000  2 C 1.62, 1 B 1.66
B 0.7831 0.5000 0.0000  2 C 1.62, 1 B 1.66
C 0.1865 0.5000 0.5000  1 C 1.43
C 0.5000 0.1865 0.0000  1 C 1.43
C 0.5000 0.8135 0.0000  1 C 1.43
C 0.8135 0.5000 0.5000  1 C 1.43

Its space group is P4_2/mmc, No. 131. For the total energy, the calculation gives -7.664 eV per atom. The calculation puts the calculated formation energy at -0.314 eV per atom.

***

[9]
This record from the Materials Project database describes crystalline PrMnGe at its relaxed geometry. The functional is PBE.

Cell: 4.2839 4.2839 7.1664 Å, 90.00 90.00 90.00°
Last column: nearest neighbours and their distance in Å.
Fractional coordinates of all 6 atoms:
Pr 0.2500 0.2500 0.1706  5 Ge 3.15-3.32, 4 Mn 3.19
Pr 0.7500 0.7500 0.8294  5 Ge 3.15-3.32, 4 Mn 3.19
Mn 0.2500 0.7500 0.5000  4 Ge 2.61
Mn 0.7500 0.2500 0.5000  4 Ge 2.61
Ge 0.2500 0.2500 0.7076  4 Mn 2.61
Ge 0.7500 0.7500 0.2924  4 Mn 2.61

Its space group is P4/nmm, No. 129. For the total energy, the calculation gives -6.618 eV per atom. The calculation puts the calculated formation energy at -0.429 eV per atom.

***

[10]
This record from the Materials Project database describes crystalline Lu2O3 at its relaxed geometry. The functional is PBE.

Cell: 7.0910 7.0910 8.4200 Å, 100.16 100.16 27.67°
Last column: nearest neighbours and their distance in Å.
Fractional coordinates of all 15 atoms:
Lu 0.0318 0.0318 0.3146  6 O 2.14-2.40
Lu 0.3082 0.3082 0.3628  6 O 2.19-2.35
Lu 0.3648 0.3648 0.0124  6 O 2.18-2.42
Lu 0.6352 0.6352 0.9876  6 O 2.18-2.42
Lu 0.6918 0.6918 0.6372  6 O 2.19-2.35
Lu 0.9682 0.9682 0.6854  6 O 2.14-2.40
O 0.1272 0.1272 0.7809  5 Lu 2.19-2.42
O 0.1742 0.1742 0.4682  4 Lu 2.14-2.20
O 0.2074 0.2074 0.1223  3 Lu 2.18-2.24
O 0.4696 0.4696 0.8424  4 Lu 2.15-2.38
O 0.5000 0.5000 0.5000  6 Lu 2.40-2.68
O 0.5304 0.5304 0.1576  4 Lu 2.15-2.38
O 0.7926 0.7926 0.8777  3 Lu 2.18-2.24
O 0.8258 0.8258 0.5318  4 Lu 2.14-2.20
O 0.8728 0.8728 0.2191  5 Lu 2.19-2.42

Its space group is C2/m, No. 12. For the total energy, the calculation gives -8.432 eV per atom. The calculation puts the calculated formation energy at -4.067 eV per atom.

***

[11]
This record from the Materials Project database describes crystalline SrEuS2 at its relaxed geometry. The functional is PBE.

Cell: 7.3528 7.3528 7.3528 Å, 33.51 33.51 33.51°
Last column: nearest neighbours and their distance in Å.
Fractional coordinates of all 4 atoms:
Sr 0.0000 0.0000 0.0000  6 S 3.02
Eu 0.5000 0.5000 0.5000  6 S 2.98
S 0.2482 0.2482 0.2482  3 Eu 2.98, 3 Sr 3.02
S 0.7518 0.7518 0.7518  3 Eu 2.98, 3 Sr 3.02

Its space group is R-3m, No. 166. For the total energy, the calculation gives -7.193 eV per atom. The calculation puts the calculated formation energy at -2.389 eV per atom.

***

[12]
This record from the Materials Project database describes crystalline LiOsO3 at its relaxed geometry. The functional is PBE.

Cell: 5.3435 5.3435 5.3435 Å, 57.09 57.09 57.09°
Last column: nearest neighbours and their distance in Å.
Fractional coordinates of all 10 atoms:
Li 0.0000 0.0000 0.0000  3 O 1.96
Li 0.5000 0.5000 0.5000  3 O 1.96
Os 0.2851 0.2851 0.2851  6 O 1.95-1.97
Os 0.7851 0.7851 0.7851  6 O 1.95-1.97
O 0.0403 0.4075 0.6645  2 Os 1.95-1.97, 1 Li 1.96
O 0.1645 0.9075 0.5403  2 Os 1.95-1.97, 1 Li 1.96
O 0.4075 0.6645 0.0403  2 Os 1.95-1.97, 1 Li 1.96
O 0.5403 0.1645 0.9075  2 Os 1.95-1.97, 1 Li 1.96
O 0.6645 0.0403 0.4075  2 Os 1.95-1.97, 1 Li 1.96
O 0.9075 0.5403 0.1645  2 Os 1.95-1.97, 1 Li 1.96

Its space group is R3c, No. 161. For the total energy, the calculation gives -6.928 eV per atom. The calculation puts the calculated formation energy at -1.745 eV per atom.